A plane-wave DFT calculation with PBE with a Hubbard U was carried out for a relaxed structure of LiCoSiO4.

Magnetization, μB/f.u.: 0.88
Calculated formation energy, eV per atom: -2.2547
Crystal system: monoclinic
Energy above the most stable polymorph in this dataset, meV/atom: 99
Final energy, eV/atom: -6.5188

```
LiCoSiO4
1.0
4.930 8.817 0.000
-4.930 8.817 0.000
0.000 2.387 16.102
O Co Li Si
64 16 16 16
direct
0.505 0.545 0.425
0.300 0.107 0.772
0.746 0.420 0.523
0.626 0.216 0.454
0.001 0.645 0.425
0.760 0.929 0.178
0.336 0.173 0.612
0.142 0.001 0.924
0.105 0.799 0.272
0.713 0.629 0.953
0.984 0.240 0.024
0.591 0.838 0.112
0.045 0.507 0.924
0.877 0.438 0.170
0.107 0.300 0.272
0.480 0.243 0.022
0.438 0.877 0.670
0.926 0.260 0.679
0.173 0.336 0.112
0.809 0.603 0.775
0.603 0.809 0.275
0.929 0.760 0.678
0.298 0.969 0.363
0.645 0.001 0.925
0.800 0.968 0.364
0.294 0.465 0.361
0.379 0.437 0.170
0.465 0.294 0.861
0.969 0.298 0.863
0.466 0.795 0.862
0.132 0.336 0.447
0.240 0.984 0.524
0.093 0.949 0.702
0.742 0.922 0.524
0.336 0.132 0.947
0.332 0.675 0.614
0.216 0.626 0.954
0.260 0.926 0.179
0.019 0.589 0.202
0.087 0.841 0.111
0.545 0.505 0.925
0.834 0.140 0.946
0.838 0.591 0.612
0.095 0.448 0.700
0.949 0.093 0.202
0.520 0.590 0.200
0.799 0.105 0.772
0.243 0.480 0.522
0.420 0.746 0.023
0.590 0.520 0.700
0.629 0.713 0.453
0.605 0.310 0.276
0.437 0.379 0.670
0.001 0.142 0.424
0.589 0.019 0.702
0.795 0.466 0.362
0.140 0.834 0.446
0.968 0.800 0.864
0.310 0.605 0.776
0.448 0.095 0.200
0.675 0.332 0.114
0.507 0.045 0.424
0.841 0.087 0.611
0.922 0.742 0.024
0.770 0.447 0.629
0.882 0.509 0.879
0.005 0.321 0.378
0.380 0.271 0.128
0.447 0.770 0.129
0.383 0.503 0.879
0.769 0.947 0.630
0.009 0.822 0.379
0.509 0.882 0.379
0.947 0.769 0.130
0.822 0.009 0.879
0.882 0.269 0.129
0.503 0.383 0.379
0.271 0.380 0.628
0.269 0.882 0.629
0.321 0.005 0.878
0.577 0.701 0.753
0.203 0.810 0.002
0.809 0.705 0.503
0.140 0.309 0.001
0.639 0.309 0.002
0.082 0.762 0.753
0.810 0.203 0.502
0.705 0.809 0.003
0.701 0.577 0.253
0.309 0.140 0.501
0.762 0.082 0.253
0.203 0.570 0.252
0.570 0.203 0.752
0.262 0.077 0.251
0.077 0.262 0.751
0.309 0.639 0.502
0.419 0.041 0.689
0.168 0.980 0.439
0.919 0.602 0.691
0.666 0.538 0.441
0.666 0.040 0.442
0.543 0.420 0.189
0.980 0.168 0.939
0.602 0.919 0.191
0.101 0.916 0.191
0.916 0.101 0.691
0.166 0.480 0.439
0.040 0.666 0.942
0.538 0.666 0.941
0.420 0.543 0.689
0.480 0.166 0.939
0.041 0.419 0.189
```



A plane-wave DFT calculation with PBE with a Hubbard U was carried out for a relaxed structure of LiCoSiO4.

Magnetization, μB/f.u.: 4.00
Calculated formation energy, eV per atom: -2.3318
Crystal system: monoclinic
Energy above the most stable polymorph in this dataset, meV/atom: 22
Final energy, eV/atom: -6.5958

```
LiCoSiO4
1.0
-1.882 1.373 4.737
2.584 -7.138 3.096
7.878 1.550 2.680
Co Si O Li
4 4 16 4
direct
0.670 0.130 0.714
0.179 0.636 0.877
0.330 0.130 0.214
0.821 0.636 0.377
0.324 0.753 0.504
0.173 0.260 0.835
0.676 0.753 0.004
0.827 0.260 0.335
0.385 0.678 0.039
0.207 0.785 0.673
0.321 0.174 0.705
0.183 0.127 0.017
0.127 0.292 0.282
0.793 0.785 0.173
0.701 0.944 0.886
0.817 0.127 0.517
0.165 0.618 0.427
0.686 0.437 0.338
0.314 0.437 0.838
0.615 0.678 0.539
0.299 0.944 0.386
0.835 0.618 0.927
0.679 0.174 0.205
0.873 0.292 0.782
0.671 0.494 0.780
0.156 0.033 0.577
0.329 0.494 0.280
0.844 0.033 0.077
```



A plane-wave DFT calculation with PBE with a Hubbard U was carried out for a relaxed structure of Li2CoSi4O10.

Magnetization, μB/f.u.: 1.00
Calculated formation energy, eV per atom: -2.7933
Crystal system: monoclinic
Energy above the most stable polymorph in this dataset, meV/atom: 64
Final energy, eV/atom: -7.1227

```
Li2CoSi4O10
1.0
7.731 0.000 0.000
0.000 11.065 0.000
0.000 3.975 10.452
Si O Li Co
16 40 8 4
direct
0.048 0.091 0.257
0.449 0.758 0.012
0.446 0.471 0.775
0.554 0.529 0.225
0.954 0.261 0.413
0.548 0.909 0.743
0.051 0.758 0.012
0.546 0.261 0.413
0.454 0.739 0.587
0.054 0.471 0.775
0.551 0.242 0.988
0.946 0.529 0.225
0.046 0.739 0.587
0.452 0.091 0.257
0.952 0.909 0.743
0.949 0.242 0.988
0.051 0.397 0.675
0.966 0.133 0.372
0.945 0.778 0.877
0.250 0.048 0.294
0.531 0.617 0.712
0.570 0.759 0.462
0.034 0.867 0.628
0.551 0.603 0.325
0.441 0.601 0.093
0.250 0.711 0.564
0.559 0.399 0.907
0.941 0.399 0.907
0.534 0.133 0.372
0.068 0.024 0.757
0.250 0.486 0.827
0.555 0.778 0.877
0.750 0.289 0.436
0.039 0.164 0.908
0.568 0.976 0.243
0.031 0.383 0.288
0.055 0.222 0.123
0.932 0.976 0.243
0.432 0.024 0.757
0.949 0.603 0.325
0.250 0.810 0.970
0.059 0.601 0.093
0.750 0.190 0.030
0.750 0.952 0.706
0.070 0.241 0.538
0.930 0.759 0.462
0.461 0.164 0.908
0.961 0.836 0.092
0.430 0.241 0.538
0.969 0.617 0.712
0.750 0.514 0.173
0.445 0.222 0.123
0.539 0.836 0.092
0.466 0.867 0.628
0.449 0.397 0.675
0.469 0.383 0.288
0.750 0.621 0.447
0.250 0.360 0.133
0.250 0.024 0.892
0.750 0.976 0.108
0.750 0.909 0.395
0.250 0.379 0.553
0.250 0.091 0.605
0.750 0.640 0.867
0.477 0.210 0.723
0.523 0.790 0.277
0.977 0.790 0.277
0.023 0.210 0.723
```



A plane-wave DFT calculation with PBE with a Hubbard U was carried out for a relaxed structure of Li2CoSi2O6.

Magnetization, μB/f.u.: 0.00
Calculated formation energy, eV per atom: -2.6701
Crystal system: monoclinic
Energy above the most stable polymorph in this dataset, meV/atom: 40
Final energy, eV/atom: -6.8250

```
Li2CoSi2O6
1.0
2.913 4.827 0.105
-2.913 4.827 -0.105
-0.264 0.000 9.351
Si Li O Co
4 4 12 2
direct
0.199 0.861 0.135
0.861 0.199 0.365
0.801 0.139 0.865
0.139 0.801 0.635
0.395 0.270 0.117
0.730 0.605 0.617
0.605 0.730 0.883
0.270 0.395 0.383
0.490 0.235 0.910
0.140 0.627 0.203
0.235 0.490 0.590
0.116 0.116 0.250
0.373 0.860 0.703
0.000 0.000 0.500
0.860 0.373 0.797
0.884 0.884 0.750
0.510 0.765 0.090
0.765 0.510 0.410
0.000 0.000 0.000
0.627 0.140 0.297
0.251 0.251 0.750
0.749 0.749 0.250
```



A plane-wave DFT calculation with PBE with a Hubbard U was carried out for a relaxed structure of LiCoSiO4.

Magnetization, μB/f.u.: 4.00
Calculated formation energy, eV per atom: -2.3333
Crystal system: orthorhombic
Piezoelectric modulus e_max, C/m2: 0.29
Energy above the most stable polymorph in this dataset, meV/atom: 20
Final energy, eV/atom: -6.5973

```
LiCoSiO4
1.0
-2.742 3.329 -2.861
-4.318 -1.639 2.337
0.760 4.609 4.635
O Si Li Co
8 2 2 2
direct
0.172 0.805 0.047
0.805 0.172 0.953
0.195 0.828 0.453
0.828 0.195 0.547
0.257 0.373 0.265
0.373 0.257 0.735
0.627 0.743 0.235
0.743 0.627 0.765
0.313 0.687 0.250
0.687 0.313 0.750
0.809 0.809 0.500
0.191 0.191 0.000
0.813 0.813 0.000
0.187 0.187 0.500
```



A plane-wave DFT calculation with PBE with a Hubbard U was carried out for a relaxed structure of LiCoSiO4.

Magnetization, μB/f.u.: 0.00
Calculated formation energy, eV per atom: -2.3164
Piezoelectric modulus e_max, C/m2: 0.27
Energy above the most stable polymorph in this dataset, meV/atom: 37
Final energy, eV/atom: -6.5805

```
LiCoSiO4
1.0
4.485 4.486 0.000
6.728 -2.243 4.274
2.243 -6.729 -4.274
Co Si O Li
4 4 16 4
direct
0.500 0.375 0.875
0.500 0.875 0.375
0.000 0.125 0.625
0.000 0.625 0.125
0.500 0.750 0.750
0.500 0.250 0.250
0.000 0.000 0.000
0.000 0.500 0.500
0.178 0.373 0.158
0.607 0.342 0.127
0.107 0.092 0.877
0.638 0.750 0.965
0.678 0.123 0.908
0.178 0.873 0.658
0.577 0.035 0.250
0.577 0.535 0.750
0.678 0.623 0.408
0.077 0.785 0.000
0.107 0.592 0.377
0.138 0.000 0.215
0.607 0.842 0.627
0.077 0.285 0.500
0.638 0.250 0.465
0.138 0.500 0.715
0.000 0.750 0.750
0.000 0.250 0.250
0.500 0.000 0.000
0.500 0.500 0.500
```



A plane-wave DFT calculation with PBE with a Hubbard U was carried out for a relaxed structure of Li2Co3Si2O8.

Magnetization, μB/f.u.: 9.00
Calculated formation energy, eV per atom: -2.3138
Crystal system: triclinic
Final energy, eV/atom: -6.6583

```
Li2Co3Si2O8
1.0
4.963 0.000 0.000
-0.116 8.854 0.000
-2.255 -4.205 12.416
Co O Li Si
9 24 6 6
direct
0.003 0.010 0.996
0.919 0.602 0.839
0.273 0.208 0.492
0.857 0.714 0.540
0.287 0.861 0.342
0.606 0.531 0.038
0.683 0.921 0.188
0.213 0.454 0.185
0.933 0.125 0.688
0.890 0.813 0.287
0.923 0.074 0.147
0.784 0.814 0.902
0.529 0.753 0.050
0.289 0.392 0.035
0.561 0.069 0.705
0.301 0.658 0.839
0.172 0.246 0.828
0.818 0.498 0.175
0.572 0.364 0.492
0.434 0.650 0.279
0.489 0.748 0.576
0.388 0.277 0.223
0.390 0.992 0.493
0.832 0.192 0.961
0.043 0.548 0.591
0.069 0.917 0.619
0.909 0.589 0.390
0.385 0.006 0.264
0.680 0.469 0.704
0.052 0.225 0.356
0.821 0.459 0.920
0.023 0.260 0.602
0.373 0.982 0.963
0.483 0.098 0.855
0.444 0.352 0.768
0.726 0.342 0.359
0.270 0.534 0.476
0.609 0.215 0.093
0.385 0.628 0.691
0.768 0.638 0.286
0.386 0.931 0.599
0.827 0.410 0.597
0.028 0.318 0.934
0.484 0.802 0.938
0.188 0.149 0.249
```



A plane-wave DFT calculation with PBE with a Hubbard U was carried out for a relaxed structure of LiCoSiO4.

Magnetization, μB/f.u.: 4.00
Calculated formation energy, eV per atom: -2.3083
Crystal system: triclinic
Energy above the most stable polymorph in this dataset, meV/atom: 45
Final energy, eV/atom: -6.5723

```
LiCoSiO4
1.0
5.173 0.000 0.000
2.574 4.494 0.000
0.631 0.268 9.208
Si O Li Co
2 8 2 2
direct
0.311 0.340 0.267
0.684 0.657 0.766
0.334 0.307 0.443
0.696 0.620 0.943
0.323 0.640 0.206
0.391 0.973 0.719
0.989 0.652 0.698
0.997 0.365 0.223
0.597 0.043 0.194
0.663 0.377 0.702
0.979 0.018 0.189
0.021 0.002 0.685
0.358 0.329 0.632
0.657 0.677 0.133
```



Question: What is the final energy in the second record?
Answer: -6.5958 eV/atom